1.
51
Lattice="-1.3601 -1.5197 7.1358 -0.7672 -9.0471 0.1284 12.0765 0.0406 2.2977" Properties=species:S:1:pos:R:3 comment="V2Bi4O11 PBE+U optimized geometry" density_g_cm3=6.913 spacegroup=P1 e_form_ev_per_atom=-1.26 energy_ha_per_atom=-0.2255 crystal_system=triclinic pbc="T T T"
O 1.1238 -4.8001 1.9438
O 8.8123 -8.7404 6.6060
O 7.8990 -7.5412 4.1076
O 1.0619 -0.7499 3.3637
O -0.7913 -5.6990 5.7581
O 9.8949 -3.0519 7.4649
O 5.1132 -2.1911 6.7715
O 3.3703 -7.7363 1.5138
O 3.4967 -6.0819 5.6522
O 9.0791 -4.9216 3.5847
O 5.8971 -9.2014 2.8673
O 4.3054 -1.6344 1.7357
O 0.9016 -1.5678 0.7198
O 3.5361 -5.0341 6.6846
O 5.0345 -5.6259 2.7679
O -0.3058 -1.3053 5.4368
O 7.4908 -1.2260 5.1179
O 8.8061 -1.9913 2.5542
O -0.3784 -4.7857 1.8247
O 1.8989 -2.7873 5.9061
O 3.3563 -1.2548 4.4591
O 3.6782 -8.0522 4.0387
O 6.3084 -5.5756 7.9487
O 9.0787 -8.9676 9.3049
O 3.6445 -5.1020 2.7814
O 1.1346 -8.4311 6.1636
O 7.6109 -4.5831 3.6495
O 5.1177 -8.4146 6.9734
O 10.7145 -0.5146 4.0808
O 9.0122 -6.3884 8.2197
O 7.0851 -10.2271 8.1128
O 0.3292 -7.7548 1.7705
O 0.4647 -4.9915 5.5178
Bi 1.4860 -4.2320 7.6306
Bi -0.1877 -3.2212 4.3088
Bi 2.1124 -6.7280 3.2791
Bi -1.1736 -7.7078 7.2049
Bi 9.2751 -6.6300 5.5865
Bi 9.5034 -4.4560 9.2606
Bi 6.8737 -2.8669 2.3495
Bi 7.2654 -7.5821 8.8224
Bi 4.0294 -3.1542 5.1576
Bi 3.1187 -7.6362 7.5943
Bi 5.5869 -6.9693 4.7821
Bi 7.0882 -4.5434 6.0421
V 8.5674 -0.4173 3.7371
V -0.4155 -9.3667 1.9602
V 6.5918 -1.1258 6.6938
V 0.9276 -9.9353 5.3179
V 4.1622 -9.1261 2.5304
V 9.0264 -10.0301 7.7550


2.
12
Lattice="-2.5940 2.5940 5.8671 2.5940 -2.5940 5.8671 2.5940 2.5940 -5.8671" Properties=species:S:1:pos:R:3 comment="VBiO4 PBE+U optimized geometry" density_g_cm3=6.812 spacegroup=I4_1/a e_form_ev_per_atom=-2.13 energy_ha_per_atom=-0.2519 crystal_system=tetragonal pbc="T T T"
V 2.5940 0.0000 2.9335
V 0.0000 0.0000 5.8671
O 1.3012 0.7354 6.7949
O 3.3294 1.2928 -0.9278
O 3.8952 0.7354 2.0057
O -0.7354 1.3012 4.9393
O 1.8586 1.3012 3.8614
O 3.3294 -1.3012 3.8614
O 1.2928 1.8586 0.9278
O 1.2928 -0.7354 2.0057
Bi 0.0000 2.5940 2.9335
Bi 0.0000 0.0000 0.0000


3.
28
Lattice="10.7012 0.0000 0.0000 0.0000 5.4689 0.0000 0.0000 2.8421 8.3693" Properties=species:S:1:pos:R:3 comment="VBiO5 PBE+U optimized geometry" density_g_cm3=4.610 spacegroup=P2_1/c e_form_ev_per_atom=-1.55 energy_ha_per_atom=-0.2281 crystal_system=monoclinic pbc="T T T"
O 7.6296 3.0953 6.9362
O 0.9866 1.9554 3.0426
O 2.2790 6.6367 5.6177
O 5.7194 6.3475 7.0285
O 4.3640 3.3764 7.2272
O 8.4222 1.6743 2.7516
O 3.0085 3.4155 4.4542
O 7.6927 4.8955 3.9151
O 10.3323 4.9265 2.8438
O 4.9817 1.9635 1.3408
O 8.3590 6.3165 8.0998
O 4.7649 5.8443 4.1049
O 0.5857 7.2653 8.2896
O 0.3689 3.3845 5.5255
O 3.0716 5.2157 1.4331
O 5.9363 2.4667 4.2644
O 10.1155 1.0456 0.0797
O 9.7146 6.3556 5.3267
O 6.3372 4.9346 1.1421
O 2.3421 1.9945 0.2695
Bi 4.3731 7.3736 5.6488
Bi 6.3280 0.9374 2.7205
Bi 9.7237 2.3584 6.9052
Bi 0.9775 5.9525 1.4641
V 3.7512 1.0551 0.4431
V 6.9500 7.2559 7.9262
V 1.5994 2.4761 4.6278
V 9.1018 5.8349 3.7415


4.
17
Lattice="5.5316 0.0000 0.0000 1.9762 6.4785 0.0000 0.3468 0.8310 7.8738" Properties=species:S:1:pos:R:3 comment="V2Bi4O11 PBE+U optimized geometry" density_g_cm3=6.555 spacegroup=P1 e_form_ev_per_atom=-1.90 energy_ha_per_atom=-0.2368 crystal_system=triclinic pbc="T T T"
Bi 3.4569 3.2327 6.6443
Bi 2.8624 6.8937 5.0193
Bi 3.9162 2.0711 2.5574
Bi 5.6838 6.0253 7.6230
O 2.3078 1.3682 7.8099
O 6.8996 6.2609 1.2638
O 6.7378 4.0823 6.4131
O 3.9476 5.4397 6.1789
O 6.0919 2.1434 1.9280
O 4.6426 0.9191 6.2466
O 4.9791 3.3281 4.2199
O 3.6346 3.1278 0.7543
O 6.8770 5.6069 4.0556
O 3.8569 6.3529 2.7092
O 2.2649 2.9088 4.2342
V 6.5271 4.0107 4.6371
V 0.9322 0.5271 1.4282


5.
34
Lattice="9.4450 0.0000 0.0000 0.0000 7.2702 0.0000 0.0000 1.9200 8.3523" Properties=species:S:1:pos:R:3 comment="V2Bi4O11 PBE+U optimized geometry" density_g_cm3=6.450 spacegroup=P2_1 e_form_ev_per_atom=-1.93 energy_ha_per_atom=-0.2377 crystal_system=monoclinic pbc="T T T"
O 8.0497 5.5837 5.1345
O 7.8024 8.2897 6.9134
O 0.7720 4.5784 2.3863
O 5.4945 4.6117 5.9660
O 0.5132 6.9961 0.9059
O 7.3132 2.3355 0.0365
O 5.5583 6.7531 7.8719
O 1.3119 4.5983 5.0159
O 2.8440 6.8770 4.1259
O 0.8358 2.4370 0.4804
O 7.5665 2.3132 4.2264
O 3.3272 3.6064 3.2178
O 6.9209 6.6660 1.2352
O 5.2357 2.1941 7.4464
O 2.1984 2.5241 7.1171
O 2.5908 6.8546 8.3158
O 0.9215 2.0755 3.9790
O 0.9206 7.5300 6.1522
O 5.6431 1.6601 2.2001
O 6.0344 4.5918 3.3364
O 5.6440 7.1147 4.3734
O 3.0799 0.9005 1.4389
V 1.6597 3.6398 3.5672
V 6.3822 5.5503 4.7851
V 6.4057 8.2537 7.9400
V 1.6832 0.9365 0.4123
Bi 5.3954 2.6084 4.1504
Bi 0.4871 4.7630 0.1442
Bi 9.0207 2.5366 5.7726
Bi 4.2982 6.6535 2.5798
Bi 7.8408 1.3502 1.8360
Bi 5.2096 4.4272 8.2081
Bi 3.1183 7.8400 6.5163
Bi 0.6729 6.5818 4.2019


6.
51
Lattice="-1.9401 4.5112 3.1158 -5.3691 -6.0389 0.3558 7.4915 -6.2725 13.9644" Properties=species:S:1:pos:R:3 comment="V2Bi4O11 PBE+U optimized geometry" density_g_cm3=7.345 spacegroup=P1 e_form_ev_per_atom=-1.98 energy_ha_per_atom=-0.2397 crystal_system=triclinic pbc="T T T"
O -3.3255 -3.9229 7.9065
O -3.2798 -1.9145 1.0183
O -3.9903 0.3742 2.4711
O 2.4062 -10.3051 13.4559
O 5.3529 -5.7479 13.8484
O -0.9275 -7.3442 8.9233
O 4.3715 -3.8337 9.6651
O -5.6486 -4.7357 2.0295
O 0.2047 1.4597 4.1953
O 0.1810 -1.4453 4.2440
O 2.4204 -2.4003 6.7220
O -2.8368 -0.7105 4.7720
O 2.0223 -6.1974 10.2078
O 2.2541 -4.7733 14.1917
O 0.2807 -4.9401 8.0052
O 3.1949 -1.7864 14.2164
O -3.0613 -6.1016 3.2345
O -3.2085 -5.9210 5.9754
O -0.8545 -3.9381 5.6647
O -2.2512 2.5944 3.9041
O -0.6893 -2.9353 9.6980
O -2.7907 -5.3207 10.4423
O 5.2663 -3.2200 12.8459
O 3.2931 -1.8325 11.4662
O -2.0440 -1.5941 7.2719
O 1.9783 -2.8039 9.1699
O 3.0381 -7.1529 12.6681
O 0.9698 -3.9155 11.8144
O -5.1575 -2.0487 3.5058
O 5.8216 -3.0527 15.3498
O 0.3923 -0.2204 8.2890
O -2.0436 -3.0855 3.2235
O -0.0100 -6.3851 13.2056
V 1.3911 1.0969 8.7635
V 4.2843 -1.7262 12.8454
V -6.1719 -3.4199 3.3361
V 3.6781 -2.8357 8.5019
V 6.3510 -4.3679 14.0545
V -4.1710 -6.0714 4.5848
Bi 3.2639 -5.0911 11.7519
Bi 2.1561 -8.5616 10.8494
Bi -2.0001 -0.8960 2.5922
Bi -0.1941 -5.2767 10.1150
Bi -3.0367 -4.3685 1.4536
Bi -3.0754 -2.8110 5.6848
Bi 0.2015 -2.7103 7.5821
Bi 0.9400 -1.8828 11.0008
Bi 3.2861 -3.4668 16.0204
Bi 2.2329 -6.9592 14.8966
Bi -1.9532 0.6561 6.7112
Bi -0.8418 -6.1437 6.3339


7.
34
Lattice="1.3156 -4.2439 6.7901 2.1044 -7.5178 2.2136 10.7164 2.9124 -0.2363" Properties=species:S:1:pos:R:3 comment="V2Bi4O11 PBE+U optimized geometry" density_g_cm3=7.711 spacegroup=C2 e_form_ev_per_atom=-1.97 energy_ha_per_atom=-0.2393 crystal_system=monoclinic pbc="T T T"
Bi 6.5905 -2.4665 2.8876
Bi 11.7649 -1.0419 2.8040
Bi 8.6179 0.0894 0.9719
Bi 2.3647 -7.7789 6.0033
Bi 7.5488 -6.3948 5.8631
Bi 3.3405 -1.5913 1.2763
Bi 5.6190 -9.3560 7.2122
Bi 10.8939 -7.6644 6.9229
O 4.7356 -1.2775 3.1428
O 8.7881 -5.4338 3.0728
O 9.0849 -6.2606 7.4574
O 2.2374 -5.7347 7.1606
O 11.0984 -3.4972 5.2270
O 11.3014 -0.6342 5.0741
O 6.6421 -4.5189 6.9928
O 3.2492 -6.3079 2.7253
O 6.9095 -1.9031 5.1675
O 4.7778 -6.4401 5.3227
O 2.8564 -4.5983 4.5941
O 9.9860 0.4291 2.8467
O 5.8692 -5.5775 2.6724
O 6.4412 -7.2363 7.7261
O 3.8301 -7.9489 7.7792
O 8.6704 -4.2743 5.3359
O 9.3828 -2.5095 3.3045
O 11.7159 -5.5317 7.3685
O 2.1093 -2.0258 3.2046
O 5.2908 -3.8477 4.4482
O 7.3734 -0.2773 2.9084
O 11.4122 -4.7202 2.9965
V 6.6751 -2.7932 6.6643
V 9.8500 -3.9525 4.1032
V 4.3808 -5.2887 4.1164
V 1.3230 -4.2745 6.7473


8.
24
Lattice="5.1089 0.0000 0.0000 0.0000 5.3716 0.0000 0.0000 0.0000 12.0557" Properties=species:S:1:pos:R:3 comment="VBiO4 PBE+U optimized geometry" density_g_cm3=6.503 spacegroup=Pbcn e_form_ev_per_atom=-2.13 energy_ha_per_atom=-0.2517 crystal_system=orthorhombic pbc="T T T"
O 1.7914 2.4499 2.3347
O 3.8619 4.9358 11.6468
O 0.7630 5.1357 3.6931
O 3.8014 4.9358 5.6189
O 1.3075 3.1216 5.6189
O 1.2470 0.4358 0.4089
O 4.3459 2.9217 3.6931
O 1.2470 3.1216 11.6468
O 1.3075 0.4358 6.4368
O 0.7630 2.4499 8.3626
O 4.3459 0.2359 8.3626
O 1.7914 5.1357 9.7210
O 3.3174 2.9217 9.7210
O 3.3174 0.2359 2.3347
O 3.8014 2.2500 6.4368
O 3.8619 2.2500 0.4089
Bi 2.5544 1.3429 4.6312
Bi 0.0000 4.0287 1.3967
Bi 2.5544 4.0287 7.4245
Bi 0.0000 1.3429 10.6590
V 2.5544 4.0287 10.7804
V 0.0000 1.3429 7.3032
V 0.0000 4.0287 4.7525
V 2.5544 1.3429 1.2753


9.
17
Lattice="-3.8357 3.6877 2.3171 -3.7723 -4.2332 0.0471 0.1186 -0.2548 8.2989" Properties=species:S:1:pos:R:3 comment="V2Bi4O11 PBE+U optimized geometry" density_g_cm3=7.294 spacegroup=P1 e_form_ev_per_atom=-1.98 energy_ha_per_atom=-0.2397 crystal_system=triclinic pbc="T T T"
O -3.7662 -0.0569 2.8960
O -4.6095 2.0176 10.1151
O -4.7852 0.0911 8.2886
O -3.5678 -1.8280 0.8573
O -2.9446 -3.1669 4.0539
O -6.6583 -0.7364 3.3650
O -2.9924 0.9741 5.3991
O -1.9508 0.3665 9.0709
O -3.7989 -3.5764 6.7934
O -4.8467 -1.2940 5.3552
O -1.0621 -0.9355 4.2015
V -3.5591 -0.4297 9.4413
V -0.3160 -0.1100 8.2698
Bi -2.4510 -1.8154 5.8221
Bi -5.1962 0.7602 4.5544
Bi -6.4508 -1.6377 7.0048
Bi -1.5856 1.2641 3.7293


10.
12
Lattice="-1.3866 0.9792 5.8514 -2.0837 4.1118 -3.9840 -2.6079 -5.2974 -1.5024" Properties=species:S:1:pos:R:3 comment="YV2BiO8 PBE+U optimized geometry" density_g_cm3=5.087 spacegroup=I-4m2 e_form_ev_per_atom=-2.67 energy_ha_per_atom=-0.2794 crystal_system=tetragonal pbc="T T T"
O -1.5310 -1.0083 1.5271
O -2.6329 0.2277 3.9606
O -2.8796 -3.3970 0.1350
O -2.0183 1.4591 -0.4051
O -4.3243 -0.1997 1.9827
O -3.0689 2.6075 2.0608
O -4.1897 -1.0824 -1.0606
O -2.9712 -2.5652 3.0951
Bi 0.0000 0.0000 0.0000
Y -3.2134 0.6800 -2.2763
V -2.8649 -0.8864 2.6414
V -1.7352 2.5455 0.9337


11.
64
Lattice="-3.5203 1.2988 4.2427 7.3265 -3.7627 7.2308 6.2543 13.9462 0.9201" Properties=species:S:1:pos:R:3 comment="VZnBiO5 PBE+U optimized geometry" density_g_cm3=5.665 spacegroup=Pbca e_form_ev_per_atom=-2.01 energy_ha_per_atom=-0.2294 crystal_system=orthorhombic pbc="T T T"
O 5.0695 0.4567 6.5448
O 4.9910 11.0256 5.8488
O 7.4713 10.3205 9.5009
O 5.8555 10.8362 2.8435
O 7.7391 10.7779 6.1521
O 7.8797 7.4171 9.3503
O 4.3855 14.0837 6.2304
O 5.6750 -2.6014 6.1633
O 0.1599 2.1548 4.3537
O 4.3872 8.0691 7.9808
O 7.6550 4.7949 8.0060
O 5.1050 13.5517 2.6052
O 3.2023 -1.5860 7.5813
O 1.3163 4.2545 6.0487
O 2.1808 4.0651 3.0434
O 7.4983 5.1192 10.9528
O 2.5892 1.1617 2.8927
O 2.5538 9.2653 2.3128
O 0.4880 1.9006 0.5735
O 5.0800 3.0759 8.1540
O 6.3679 12.6486 7.7101
O 3.8251 5.4599 6.5457
O 7.5068 2.2170 10.0809
O 8.7442 7.2277 6.3449
O 4.9555 -2.0694 9.7884
O 6.8582 13.0683 4.8123
O 7.5093 2.0829 6.6930
O 4.9805 8.4063 4.2396
O 2.5513 9.3993 5.7006
O 3.6926 -1.1663 4.6836
O 5.6733 3.4132 4.4128
O 4.8783 5.6719 2.9696
O 2.3215 0.7044 6.2416
O 6.2354 6.0224 5.8480
O 9.5725 9.5817 11.8201
O 2.4055 6.6873 4.3877
O 4.2050 0.6460 9.5502
O 5.1822 5.8103 9.4240
O 9.9006 9.3275 8.0399
O 2.5623 6.3630 1.4408
V 3.5796 -0.4558 6.2800
V 3.8614 -0.8552 10.4167
V 2.1618 5.4048 7.0902
V 6.1991 12.3374 1.9769
V 8.1806 5.6781 9.4401
V 6.4810 11.9381 6.1136
V 7.8987 6.0775 5.3034
V 1.8799 5.8041 2.9535
Zn 5.6021 4.9252 7.5419
Zn 7.5472 12.3344 9.4266
Zn 1.1071 8.0236 5.4027
Zn 10.8986 10.8678 8.8757
Zn 8.9534 3.4586 6.9910
Zn -0.8380 0.6144 3.5180
Zn 2.5133 -0.8521 2.9670
Zn 4.4584 6.5570 4.8517
Bi 10.9310 7.6946 6.9644
Bi 6.2766 1.2850 8.3450
Bi -0.8705 3.7877 5.4293
Bi 6.9349 8.8336 3.3000
Bi 3.1256 2.6487 9.0937
Bi 3.7839 10.1973 4.0487
Bi 2.2805 2.4240 4.6806
Bi 7.7800 9.0583 7.7130